Version w
Material: SrCa
Method: DFT, r²SCAN
State: relaxed

Cell: 4.1251 4.1251 5.8762 Å, 90.00 90.00 92.56°
Fractional positions:
Sr 0.0000 0.0000 0.0000
Ca 0.5000 0.5000 0.5000

## Properties
* density: 2.1 g cm⁻³
* M_tot: 0.5 μB per formula unit

Version x
Material: SrCa
Method: DFT, r²SCAN
State: relaxed

Cell: 7.1455 7.1455 7.1455 Å, 33.63 33.63 33.63°
Fractional positions:
Sr 0.0000 0.0000 0.0000
Ca 0.5000 0.5000 0.5000

## Properties
* density: 2.1 g cm⁻³
* M_tot: 0.3 μB per formula unit

Most stable to least stable, the ends of the list are version w and version x.

Version w
Material: Cd
Method: DFT, r²SCAN
State: relaxed

Cell: 3.0931 3.0931 10.4307 Å, 90.00 90.00 120.00°
Fractional positions:
Cd 0.0000 0.0000 0.0000
Cd 0.0000 0.0000 0.5000
Cd 0.3333 0.6667 0.2500
Cd 0.6667 0.3333 0.7500

## Properties
* density: 8.6 g cm⁻³
* M_tot: 0.0 μB per formula unit

Version x
Material: Cd
Method: DFT, r²SCAN
State: relaxed

Cell: 3.1369 3.1369 3.1369 Å, 60.00 60.00 60.00°
Fractional positions:
Cd 0.0000 0.0000 0.0000

## Properties
* density: 8.6 g cm⁻³
* M_tot: 0.0 μB per formula unit

Most stable to least stable, the ends of the list are version w and version x.

Version w
Material: Cd
Method: DFT, r²SCAN
State: relaxed

Cell: 3.0735 3.0735 3.0735 Å, 63.09 63.09 63.09°
Fractional positions:
Cd 0.0000 0.0000 0.0000

## Properties
* density: 8.5 g cm⁻³
* M_tot: 0.0 μB per formula unit

Version x
Material: Cd
Method: DFT, r²SCAN
State: relaxed

Cell: 2.9585 2.9585 5.8859 Å, 90.00 90.00 120.00°
Fractional positions:
Cd 0.3333 0.6667 0.2500
Cd 0.6667 0.3333 0.7500

## Properties
* density: 8.4 g cm⁻³
* M_tot: 0.0 μB per formula unit

Most stable to least stable, the ends of the list are version x and version w.

Version w
Material: CrCdO4
Method: DFT, r²SCAN
State: relaxed

Cell: 7.1338 7.1338 7.0963 Å, 98.50 98.50 85.96°
Fractional positions:
Cr 0.2263 0.2263 0.5822
Cr 0.2449 0.7551 0.0000
Cr 0.7551 0.2449 0.0000
Cr 0.7737 0.7737 0.4178
Cd 0.2891 0.2891 0.1261
Cd 0.3132 0.6868 0.5000
Cd 0.6868 0.3132 0.5000
Cd 0.7109 0.7109 0.8739
O 0.0030 0.2798 0.5205
O 0.0276 0.7251 0.9002
O 0.2749 0.9724 0.0998
O 0.2798 0.0030 0.5205
O 0.2852 0.2852 0.8119
O 0.2969 0.6140 0.1721
O 0.3546 0.3546 0.4611
O 0.3860 0.7031 0.8279
O 0.6140 0.2969 0.1721
O 0.6454 0.6454 0.5389
O 0.7031 0.3860 0.8279
O 0.7148 0.7148 0.1881
O 0.7202 0.9970 0.4795
O 0.7251 0.0276 0.9002
O 0.9724 0.2749 0.0998
O 0.9970 0.7202 0.4795

## Properties
* density: 4.3 g cm⁻³
* M_tot: 0.0 μB per formula unit

Version x
Material: CrCdO4
Method: DFT, r²SCAN
State: relaxed

Cell: 5.2048 5.2048 6.9772 Å, 90.00 90.00 113.72°
Fractional positions:
Cr 0.1388 0.8612 0.7500
Cr 0.8612 0.1388 0.2500
Cd 0.5000 0.5000 0.0000
Cd 0.5000 0.5000 0.5000
O 0.2137 0.2712 0.2500
O 0.2445 0.7555 0.5586
O 0.2445 0.7555 0.9414
O 0.2712 0.2137 0.7500
O 0.7288 0.7863 0.2500
O 0.7555 0.2445 0.0586
O 0.7555 0.2445 0.4414
O 0.7863 0.7288 0.7500

## Properties
* density: 4.4 g cm⁻³
* M_tot: 0.0 μB per formula unit

Most stable to least stable, the ends of the list are version x and version w.

Version w
Material: Yb3Cd
Method: DFT, r²SCAN
State: relaxed

Cell: 5.3356 5.3356 5.3356 Å, 60.00 60.00 60.00°
Fractional positions:
Yb 0.0000 0.0000 0.0000
Yb 0.2500 0.2500 0.2500
Yb 0.7500 0.7500 0.7500
Cd 0.5000 0.5000 0.5000

## Properties
* density: 9.8 g cm⁻³
* M_tot: 0.0 μB per formula unit

Version x
Material: Yb3Cd
Method: DFT, r²SCAN
State: relaxed

Cell: 4.7428 4.7428 4.7428 Å, 90.00 90.00 90.00°
Fractional positions:
Yb 0.0000 0.0000 0.5000
Yb 0.0000 0.5000 0.0000
Yb 0.5000 0.0000 0.0000
Cd 0.5000 0.5000 0.5000

## Properties
* density: 9.8 g cm⁻³
* M_tot: 0.0 μB per formula unit

Most stable to least stable, the ends of the list are version x and version w.

Version w
Material: Cs3CeCl6
Method: DFT, r²SCAN
State: relaxed

Cell: 14.2845 14.2845 13.3222 Å, 99.30 99.30 33.98°
Fractional positions:
Cs 0.0253 0.6504 0.2001
Cs 0.1586 0.5332 0.8551
Cs 0.1985 0.7011 0.5666
Cs 0.2989 0.8015 0.9334
Cs 0.3496 0.9747 0.2999
Cs 0.4668 0.8414 0.6449
Cs 0.5332 0.1586 0.3551
Cs 0.6504 0.0253 0.7001
Cs 0.7011 0.1985 0.0666
Cs 0.8015 0.2989 0.4334
Cs 0.8414 0.4668 0.1449
Cs 0.9747 0.3496 0.7999
Ce 0.0000 0.5000 0.5000
Ce 0.2160 0.7840 0.2500
Ce 0.5000 0.0000 0.0000
Ce 0.7840 0.2160 0.7500
Cl 0.0281 0.0894 0.1961
Cl 0.0894 0.0281 0.6961
Cl 0.1336 0.2187 0.5337
Cl 0.1420 0.3589 0.3117
Cl 0.1634 0.7194 0.0622
Cl 0.2187 0.1336 0.0337
Cl 0.2757 0.3815 0.5811
Cl 0.2806 0.8366 0.4378
Cl 0.3589 0.1420 0.8117
Cl 0.3815 0.2757 0.0811
Cl 0.3849 0.4979 0.3225
Cl 0.4979 0.3849 0.8225
Cl 0.5021 0.6151 0.1775
Cl 0.6151 0.5021 0.6775
Cl 0.6185 0.7243 0.9189
Cl 0.6411 0.8580 0.1883
Cl 0.7194 0.1634 0.5622
Cl 0.7243 0.6185 0.4189
Cl 0.7813 0.8664 0.9663
Cl 0.8366 0.2806 0.9378
Cl 0.8580 0.6411 0.6883
Cl 0.8664 0.7813 0.4663
Cl 0.9106 0.9719 0.3039
Cl 0.9719 0.9106 0.8039

## Properties
* density: 3.3 g cm⁻³
* M_tot: 1.0 μB per formula unit

Version x
Material: Cs3CeCl6
Method: DFT, r²SCAN
State: relaxed

Cell: 8.4731 8.4731 8.4731 Å, 60.00 60.00 60.00°
Fractional positions:
Cs 0.0000 0.0000 0.0000
Cs 0.2500 0.2500 0.2500
Cs 0.7500 0.7500 0.7500
Ce 0.5000 0.5000 0.5000
Cl 0.2713 0.2713 0.7287
Cl 0.2713 0.7287 0.2713
Cl 0.2713 0.7287 0.7287
Cl 0.7287 0.2713 0.2713
Cl 0.7287 0.2713 0.7287
Cl 0.7287 0.7287 0.2713

## Properties
* density: 2.9 g cm⁻³
* M_tot: 1.0 μB per formula unit

Most stable to least stable, the ends of the list are version w and version x.

Version w
Material: Ce2Mg
Method: DFT, r²SCAN
State: relaxed

Cell: 5.7400 5.7400 6.6739 Å, 118.03 118.03 66.07°
Fractional positions:
Ce 0.0332 0.2822 0.2895
Ce 0.2822 0.0332 0.7895
Ce 0.7178 0.9668 0.2105
Ce 0.9668 0.7178 0.7105
Mg 0.3782 0.6218 0.2500
Mg 0.6218 0.3782 0.7500

## Properties
* density: 6.1 g cm⁻³
* M_tot: 1.8 μB per formula unit

Version x
Material: Ce2Mg
Method: DFT, r²SCAN
State: relaxed

Cell: 9.3428 9.3428 5.2166 Å, 90.00 90.00 160.89°
Fractional positions:
Ce 0.1336 0.8664 0.7500
Ce 0.2022 0.7978 0.2500
Ce 0.7978 0.2022 0.7500
Ce 0.8664 0.1336 0.2500
Mg 0.4593 0.5407 0.7500
Mg 0.5407 0.4593 0.2500

## Properties
* density: 6.8 g cm⁻³
* M_tot: 0.0 μB per formula unit

Most stable to least stable, the ends of the list are version w and version x.